1.
First-principles (PBE) data for Te2MoWSeS after structural relaxation, as listed in the Materials Project database.

a b c (Å): 3.398 3.398 38.814
angles (deg): 90.00 90.00 120.00
Fractional coordinates of all 12 atoms:
1 Te 0.000 0.000 0.706
2 Te 0.333 0.667 0.421
3 Te 0.333 0.667 0.518
4 Te 0.000 0.000 0.609
5 Mo 0.000 0.000 0.094
6 Mo 0.333 0.667 0.658
7 W 0.000 0.000 0.470
8 W 0.333 0.667 0.282
9 Se 0.000 0.000 0.324
10 Se 0.000 0.000 0.239
11 S 0.333 0.667 0.055
12 S 0.333 0.667 0.133

Calculated values
formation energy: -471 meV/atom
polymorph energy (0 for the lowest one): 36 meV/atom
symmetry: No. 156

---

2.
First-principles (PBE) data for Te2MoW3Se4S2 after structural relaxation, as listed in the Materials Project database.

a b c (Å): 3.340 3.340 38.119
angles (deg): 90.00 90.00 120.00
Fractional coordinates of all 12 atoms:
1 Te 0.333 0.667 0.332
2 Te 0.333 0.667 0.232
3 Mo 0.667 0.333 0.282
4 W 0.333 0.667 0.094
5 W 0.333 0.667 0.470
6 W 0.667 0.333 0.658
7 Se 0.333 0.667 0.701
8 Se 0.667 0.333 0.426
9 Se 0.667 0.333 0.514
10 Se 0.333 0.667 0.614
11 S 0.667 0.333 0.054
12 S 0.667 0.333 0.134

Calculated values
formation energy: -594 meV/atom
polymorph energy (0 for the lowest one): 1 meV/atom
symmetry: No. 156

---

3.
First-principles (PBE) data for Te2MoW3Se2S4 after structural relaxation, as listed in the Materials Project database.

a b c (Å): 3.301 3.301 41.565
angles (deg): 90.00 90.00 120.00
Fractional coordinates of all 12 atoms:
1 Te 0.667 0.333 0.424
2 Te 0.667 0.333 0.517
3 Mo 0.667 0.333 0.279
4 W 0.333 0.667 0.094
5 W 0.333 0.667 0.471
6 W 0.667 0.333 0.659
7 Se 0.333 0.667 0.320
8 Se 0.333 0.667 0.239
9 S 0.333 0.667 0.696
10 S 0.667 0.333 0.057
11 S 0.667 0.333 0.131
12 S 0.333 0.667 0.622

Calculated values
formation energy: -711 meV/atom
polymorph energy (0 for the lowest one): 21 meV/atom
symmetry: No. 156

---

4.
First-principles (PBE) data for Te2Mo3WSe4S2 after structural relaxation, as listed in the Materials Project database.

a b c (Å): 3.341 3.341 38.025
angles (deg): 90.00 90.00 120.00
Fractional coordinates of all 12 atoms:
1 Te 0.000 0.000 0.332
2 Te 0.000 0.000 0.232
3 Mo 0.000 0.000 0.094
4 Mo 0.333 0.667 0.282
5 Mo 0.333 0.667 0.658
6 W 0.000 0.000 0.470
7 Se 0.000 0.000 0.701
8 Se 0.333 0.667 0.050
9 Se 0.333 0.667 0.138
10 Se 0.000 0.000 0.614
11 S 0.333 0.667 0.430
12 S 0.333 0.667 0.510

Calculated values
formation energy: -652 meV/atom
polymorph energy (0 for the lowest one): 1 meV/atom
symmetry: No. 156